No. 1
Computed, not measured: a relaxed structure of GaH6N2F3 at the PBE level of DFT.

Lattice parameters (Å, degrees): 10.061 4.029 7.101 90.00 133.15 90.00
Space group C2/m (No. 12)
Inequivalent atoms, fractional coordinates:
Ga  0.000  0.000  0.000 (multiplicity 2)
H  0.171  0.296  0.745 (multiplicity 8)
H  0.172  0.500  0.545 (multiplicity 4)
N  0.224  0.500  0.729 (multiplicity 4)
F  0.000  0.500  0.000 (multiplicity 2)
F  0.007  0.000  0.736 (multiplicity 4)

Formation energy from the elements   -15.6 eV per formula unit


No. 2
Computed, not measured: a relaxed structure of GaH15N4O2F6 at the PBE level of DFT.

Lattice parameters (Å, degrees): 15.976 7.504 11.843 90.00 114.45 90.00
Space group C2/c (No. 15)
Inequivalent atoms, fractional coordinates:
Ga  0.250  0.250  0.000 (multiplicity 4)
H  0.000  0.000  0.000 (multiplicity 4)
H  0.039  0.402  0.365 (multiplicity 8)
H  0.078  0.355  0.004 (multiplicity 8)
H  0.081  0.383  0.354 (multiplicity 8)
H  0.102  0.094  0.841 (multiplicity 8)
H  0.106  0.107  0.430 (multiplicity 8)
H  0.131  0.299  0.143 (multiplicity 8)
H  0.194  0.356  0.717 (multiplicity 8)
N  0.073  0.106  0.523 (multiplicity 8)
N  0.106  0.181  0.618 (multiplicity 8)
O  0.108  0.402  0.089 (multiplicity 8)
F  0.087  0.219  0.856 (multiplicity 8)
F  0.135  0.084  0.364 (multiplicity 8)
F  0.244  0.398  0.789 (multiplicity 8)

Formation energy from the elements   -24.2 eV per formula unit


No. 3
Computed, not measured: a relaxed structure of Ga2P2H9N2O9F at the PBE level of DFT.

Lattice parameters (Å, degrees): 9.720 9.886 10.101 90.00 90.00 90.00
Space group P2_12_12_1 (No. 19)
Inequivalent atoms, fractional coordinates:
Ga  0.102  0.239  0.141 (multiplicity 4)
Ga  0.155  0.021  0.678 (multiplicity 4)
P  0.078  0.016  0.364 (multiplicity 4)
P  0.079  0.703  0.642 (multiplicity 4)
H  0.005  0.433  0.493 (multiplicity 4)
H  0.040  0.267  0.469 (multiplicity 4)
H  0.047  0.822  0.893 (multiplicity 4)
H  0.120  0.826  0.049 (multiplicity 4)
H  0.141  0.436  0.816 (multiplicity 4)
H  0.199  0.515  0.272 (multiplicity 4)
H  0.208  0.065  0.990 (multiplicity 4)
H  0.222  0.618  0.405 (multiplicity 4)
H  0.250  0.322  0.749 (multiplicity 4)
N  0.030  0.837  0.994 (multiplicity 4)
N  0.243  0.407  0.812 (multiplicity 4)
O  0.003  0.590  0.717 (multiplicity 4)
O  0.018  0.411  0.203 (multiplicity 4)
O  0.030  0.717  0.497 (multiplicity 4)
O  0.046  0.030  0.513 (multiplicity 4)
O  0.046  0.158  0.302 (multiplicity 4)
O  0.065  0.838  0.719 (multiplicity 4)
O  0.191  0.070  0.087 (multiplicity 4)
O  0.233  0.657  0.630 (multiplicity 4)
O  0.233  0.981  0.343 (multiplicity 4)
F  0.228  0.202  0.638 (multiplicity 4)

Formation energy from the elements   -42.6 eV per formula unit


No. 4
Computed, not measured: a relaxed structure of Na2GaHgF6 at the PBE level of DFT.

Lattice parameters (Å, degrees): 8.786 8.786 8.786 90.00 90.00 90.00
Space group Fm-3m (No. 225)
Inequivalent atoms, fractional coordinates:
Na  0.250  0.250  0.250 (multiplicity 8)
Ga  0.000  0.000  0.000 (multiplicity 4)
Hg  0.000  0.000  0.500 (multiplicity 4)
F  0.000  0.000  0.219 (multiplicity 24)

Formation energy from the elements   -24.4 eV per formula unit


No. 5
Computed, not measured: a relaxed structure of Rb2GaHgF6 at the PBE level of DFT.

Lattice parameters (Å, degrees): 9.022 9.022 9.022 90.00 90.00 90.00
Space group Fm-3m (No. 225)
Inequivalent atoms, fractional coordinates:
Rb  0.250  0.250  0.250 (multiplicity 8)
Ga  0.000  0.000  0.000 (multiplicity 4)
Hg  0.000  0.000  0.500 (multiplicity 4)
F  0.000  0.000  0.215 (multiplicity 24)

Formation energy from the elements   -26.2 eV per formula unit


No. 6
Computed, not measured: a relaxed structure of K2LiGaF6 at the PBE level of DFT.

Lattice parameters (Å, degrees): 8.108 8.108 8.108 90.00 90.00 90.00
Space group Fm-3m (No. 225)
Inequivalent atoms, fractional coordinates:
K  0.250  0.250  0.250 (multiplicity 8)
Li  0.000  0.000  0.000 (multiplicity 4)
Ga  0.000  0.000  0.500 (multiplicity 4)
F  0.000  0.000  0.262 (multiplicity 24)

Formation energy from the elements   -31.1 eV per formula unit


What is the formula in the fifth record? Rb2GaHgF6